A relaxed structure of Nd4V5Si4O22, computed with PBE+U.

a b c (Å): 7.330 7.330 11.153
angles (deg): 80.41 80.41 45.76
Fractional coordinates of all 35 atoms:
Nd: 0.073 0.073 0.751
Nd: 0.927 0.927 0.249
Nd: 0.356 0.356 0.756
Nd: 0.644 0.644 0.244
V: 0.500 0.500 0.000
V: 0.000 0.500 0.500
V: 0.500 0.000 0.500
V: 0.000 0.000 0.500
V: 0.500 0.500 0.500
Si: 0.139 0.139 0.042
Si: 0.861 0.861 0.958
Si: 0.297 0.297 0.228
Si: 0.703 0.703 0.772
O: 0.225 0.225 0.126
O: 0.775 0.775 0.874
O: 0.165 0.694 0.911
O: 0.306 0.835 0.089
O: 0.835 0.306 0.089
O: 0.694 0.165 0.911
O: 0.185 0.185 0.899
O: 0.815 0.815 0.101
O: 0.414 0.414 0.165
O: 0.586 0.586 0.835
O: 0.966 0.489 0.689
O: 0.511 0.034 0.311
O: 0.034 0.511 0.311
O: 0.650 0.650 0.485
O: 0.350 0.350 0.515
O: 0.858 0.858 0.473
O: 0.142 0.142 0.527
O: 0.736 0.217 0.631
O: 0.783 0.264 0.369
O: 0.264 0.783 0.369
O: 0.217 0.736 0.631
O: 0.489 0.966 0.689

## Properties
ΔH_f (0 K): -3.207 eV/atom
Total DFT energy (no corrections): -8.105 eV/atom